## HfN (GGA-PBE)

Data for a relaxed structure of HfN.

abc: 3.472 3.472 3.472
angles: 60.00 60.00 60.00
Positions (direct):
Hf (0.000, 0.000, 0.000)
N (0.250, 0.250, 0.250)

size of the total moment	0.003	μB per formula unit
space group	F-43m
calculated formation energy	-159.76	kJ/mol of atoms

***

## Hf3N2 (GGA-PBE)

Data for a relaxed structure of Hf3N2.

abc: 8.175 8.175 8.175
angles: 22.49 22.49 22.49
Positions (direct):
Hf (0.001, 0.001, 0.001)
Hf (0.223, 0.223, 0.223)
Hf (0.777, 0.777, 0.777)
N (0.612, 0.612, 0.612)
N (0.497, 0.497, 0.497)

size of the total moment	0.022	μB per formula unit
space group	R3m
calculated formation energy	-146.67	kJ/mol of atoms

***

## HfN (GGA-PBE)

Data for a relaxed structure of HfN.

abc: 3.156 3.156 5.429
angles: 90.00 90.00 120.00
Positions (direct):
Hf (0.333, 0.667, 0.250)
Hf (0.667, 0.333, 0.750)
N (0.000, 0.000, 0.500)
N (0.000, 0.000, 0.000)

space group	P6_3/mmc
calculated formation energy	-182.98	kJ/mol of atoms

***

## HfN (GGA-PBE)

Data for a relaxed structure of HfN.

abc: 2.816 2.816 2.816
angles: 90.00 90.00 90.00
Positions (direct):
Hf (0.000, 0.000, 0.000)
N (0.500, 0.500, 0.500)

size of the total moment	0.001	μB per formula unit
space group	Pm-3m
calculated formation energy	-90.42	kJ/mol of atoms

***

Raw total energy / eV/atom: -10.62 -10.68 -10.86 -9.90